1.
The following is a DFT calculation (PBE) of Na8Zr3Si12SnO40 after structural relaxation.

Properties
The energy relative to the elements comes out at -2.744 eV per atom. Its total energy is -7.053 eV/atom. The calculation puts the magnetization at 8.0 μB per formula unit.

Cell: 7.1662 10.2246 13.3191 Å, 90.24 90.08 90.00°
Last column: nearest neighbours and their distance in Å.
Fractional positions:
Na: 0.0000 0.0000 0.0000  2 O 2.40-2.60
Na: 0.0020 0.8509 0.5041  2 O 2.41-2.59
Na: 0.0633 0.6894 0.2340  4 O 2.40-2.57
Na: 0.4363 0.1917 0.4549  4 O 2.41-2.56
Na: 0.4954 0.5123 0.6865  2 O 2.41-2.63
Na: 0.5013 0.3480 0.1837  2 O 2.40-2.61
Na: 0.5624 0.6798 0.9635  4 O 2.40-2.49
Na: 0.9351 0.1705 0.7334  4 O 2.41-2.57
Zr: 0.0148 0.3875 0.2981  6 O 2.08-2.15
Zr: 0.4885 0.8890 0.3913  6 O 2.10-2.14
Zr: 0.9871 0.4732 0.7992  6 O 2.07-2.16
Si: 0.0190 0.4547 0.5424  4 O 1.61-1.67
Si: 0.1787 0.0812 0.2601  4 O 1.62-1.66
Si: 0.2408 0.7507 0.7664  4 O 1.62-1.65
Si: 0.2567 0.2408 0.9242  4 O 1.63-1.65
Si: 0.3222 0.5827 0.4296  4 O 1.62-1.66
Si: 0.4826 0.9558 0.1459  4 O 1.62-1.66
Si: 0.5162 0.9124 0.6503  4 O 1.61-1.67
Si: 0.6797 0.2747 0.9285  4 O 1.62-1.67
Si: 0.7455 0.6158 0.4259  4 O 1.62-1.65
Si: 0.7557 0.1162 0.2632  4 O 1.62-1.65
Si: 0.8166 0.7803 0.7646  4 O 1.63-1.66
Si: 0.9841 0.4028 0.0416  4 O 1.61-1.67
Sn: 0.5126 0.9739 0.8901  6 O 2.06-2.11
O: 0.0074 0.5082 0.9520  1 Si 1.62
O: 0.0215 0.4637 0.1515  1 Si 1.61
O: 0.0377 0.8218 0.7514  2 Si 1.64-1.65
O: 0.1261 0.2756 0.0229  2 Si 1.65-1.67
O: 0.1568 0.3016 0.8251  1 Si 1.63
O: 0.2123 0.2389 0.2675  1 Si 1.63
O: 0.2201 0.5930 0.7693  1 Si 1.62
O: 0.2316 0.5201 0.5338  2 Si 1.66-1.67
O: 0.2421 0.5138 0.3286  1 Si 1.62
O: 0.2425 0.7234 0.0190  1 O 2.33, 1 Na 2.45
O: 0.2567 0.2116 0.6741  1 O 2.32, 1 Na 2.47
O: 0.2583 0.0119 0.3607  1 Si 1.62
O: 0.2692 0.0182 0.1557  2 Si 1.66
O: 0.2759 0.0824 0.9196  1 Si 1.63
O: 0.2912 0.7408 0.4230  1 Si 1.63
O: 0.3463 0.8061 0.8665  1 Si 1.63
O: 0.3658 0.7901 0.6671  2 Si 1.65-1.67
O: 0.4584 0.3118 0.9443  2 Si 1.64
O: 0.4849 0.9695 0.5387  1 Si 1.61
O: 0.4995 0.0217 0.7394  1 Si 1.63
O: 0.5069 0.8505 0.2364  1 Si 1.63
O: 0.5197 0.8964 0.0351  1 Si 1.62
O: 0.5438 0.5444 0.4450  2 Si 1.64-1.65
O: 0.6252 0.0822 0.1643  2 Si 1.65-1.66
O: 0.6548 0.0587 0.3630  1 Si 1.63
O: 0.7128 0.1163 0.9219  1 Si 1.64
O: 0.7238 0.7736 0.4217  1 Si 1.62
O: 0.7249 0.8422 0.6605  2 Si 1.66
O: 0.7370 0.8475 0.8669  1 Si 1.63
O: 0.7406 0.6581 0.1762  1 O 2.36, 1 Na 2.46
O: 0.7570 0.1517 0.5142  1 O 2.34, 1 Na 2.46
O: 0.7610 0.3449 0.8288  1 Si 1.62
O: 0.7709 0.3383 0.0329  2 Si 1.67
O: 0.7776 0.2736 0.2681  1 Si 1.62
O: 0.7896 0.6219 0.7696  1 Si 1.63
O: 0.8453 0.5579 0.3255  1 Si 1.63
O: 0.8754 0.5810 0.5246  2 Si 1.65-1.67
O: 0.9569 0.0437 0.2447  2 Si 1.64-1.65
O: 0.9828 0.3950 0.6522  1 Si 1.61
O: 0.9973 0.3497 0.4513  1 Si 1.62



2.
The following is a DFT calculation (PBE) of CsUCuTe3 after structural relaxation.

Properties
The energy relative to the elements comes out at -0.943 eV per atom. Its total energy is -5.018 eV/atom. The calculation puts the magnetization at 2.0 μB per formula unit.

Cell: 8.9545 8.9545 11.2962 Å, 90.00 90.00 151.74°
Last column: nearest neighbours and their distance in Å.
Fractional positions:
Cs: 0.2435 0.7565 0.7500  8 Te 3.91-4.13, 2 Cs 4.37
Cs: 0.7565 0.2435 0.2500  8 Te 3.91-4.13, 2 Cs 4.37
U: 0.5000 0.5000 0.0000  6 Te 2.99-3.06
U: 0.5000 0.5000 0.5000  6 Te 2.99-3.06
Cu: 0.0331 0.9669 0.2500  4 Te 2.60-2.68
Cu: 0.9669 0.0331 0.7500  4 Te 2.60-2.68
Te: 0.1168 0.8832 0.0591  1 Cu 2.60
Te: 0.1168 0.8832 0.4409  1 Cu 2.60
Te: 0.4434 0.5566 0.2500  2 Cu 2.68, 2 U 2.99
Te: 0.5566 0.4434 0.7500  2 Cu 2.68, 2 U 2.99
Te: 0.8832 0.1168 0.5591  1 Cu 2.60
Te: 0.8832 0.1168 0.9409  1 Cu 2.60



3.
The following is a DFT calculation (PBE) of ZrCrCuS4 after structural relaxation.

Properties
The energy relative to the elements comes out at -1.110 eV per atom. As for the relative energy among the computed polymorphs: 147 meV per atom. Its total energy is -6.372 eV/atom. The calculation puts the magnetization at 3.0 μB per formula unit.

Cell: 11.5866 3.5565 13.0703 Å, 90.00 90.37 90.00°
Last column: nearest neighbours and their distance in Å.
Fractional positions:
Zr: 0.0000 0.0000 0.0000  5 S 2.47-2.58
Zr: 0.0394 0.0000 0.4097  6 S 2.52-2.66
Zr: 0.3152 0.5000 0.6818  5 S 2.45-2.59
Zr: 0.4934 0.0000 0.1823  5 S 2.44-2.57
Cr: 0.2610 0.5000 0.2795  6 S 2.41-2.55
Cr: 0.5463 0.0000 0.7804  6 S 2.38-2.53
Cr: 0.7656 0.5000 0.8988  6 S 2.38-2.52
Cr: 0.8013 0.5000 0.5048  5 S 2.37-2.44
Cu: 0.0488 0.5000 0.8191  3 S 2.30-2.48
Cu: 0.2541 0.0000 0.8603  5 S 2.29-2.55
Cu: 0.5608 0.5000 0.3603  5 S 2.36-2.60
Cu: 0.7222 0.0000 0.3080  3 S 2.25-2.41
S: 0.1343 0.0000 0.2249  2 Cr 2.41, 1 Zr 2.66
S: 0.1550 0.0000 0.7079  1 Cu 2.29
S: 0.1573 0.5000 0.9670  3 Cu 2.30-2.53
S: 0.1883 0.5000 0.4571  1 Cr 2.47, 2 Zr 2.55
S: 0.3601 0.5000 0.1166  1 Cr 2.43, 2 Zr 2.50
S: 0.3979 0.0000 0.3486  1 Zr 2.44, 2 Cr 2.55, 2 Cu 2.60
S: 0.4118 0.5000 0.8493  1 Zr 2.45, 2 Cr 2.53, 2 Cu 2.55
S: 0.4445 0.0000 0.6137  1 Cr 2.47, 2 Zr 2.49
S: 0.6392 0.0000 0.9448  3 Cr 2.38-2.40
S: 0.6529 0.5000 0.1995  3 Cu 2.36-2.41, 2 Zr 2.57
S: 0.6621 0.0000 0.4717  1 Cu 2.25, 2 Cr 2.44
S: 0.6721 0.5000 0.7344  3 Cr 2.38-2.40
S: 0.8703 0.5000 0.0673  2 Zr 2.49, 1 Cr 2.51
S: 0.8943 0.5000 0.3440  1 Cr 2.37, 2 Zr 2.59
S: 0.9004 0.0000 0.8323  1 Zr 2.47, 2 Cu 2.48, 2 Cr 2.52
S: 0.9179 0.0000 0.5686  2 Cr 2.38, 1 Zr 2.52